A relaxed structure of NaFe2O4. Source: the Materials Project, functional PBE+U.

Crystal system ... monoclinic
Mass density ... 3.7 g/cm3
Spin magnetization ... 1.29 μB/atom
Distance to the lowest polymorph of the same formula ... 0.09 eV per formula unit

Cell lengths 5.1469, 5.9765, 13.0144 Å; angles 62.79, 90.00, 90.00 degrees
Atoms (fractional coordinates):
Fe1 0.5000 0.0000 0.0000
Fe2 0.5000 0.5000 0.5000
Fe3 0.5000 0.0000 0.5000
Fe4 0.0009 0.7601 0.9917
Fe5 0.5000 0.5000 0.0000
Fe6 0.9991 0.7601 0.4917
Fe7 0.0009 0.2399 0.5083
Fe8 0.9991 0.2399 0.0083
O1 0.8260 0.4133 0.5921
O2 0.3420 0.8308 0.9097
O3 0.1648 0.0975 0.4075
O4 0.1648 0.9025 0.0925
O5 0.6760 0.6594 0.0876
O6 0.1740 0.4133 0.0921
O7 0.8352 0.0975 0.9075
O8 0.1740 0.5867 0.4079
O9 0.3240 0.6594 0.5876
O10 0.8260 0.5867 0.9079
O11 0.8352 0.9025 0.5925
O12 0.3240 0.3406 0.9124
O13 0.6580 0.8308 0.4097
O14 0.6760 0.3406 0.4124
O15 0.6580 0.1692 0.0903
O16 0.3420 0.1692 0.5903
Na1 0.0300 0.5000 0.7500
Na2 0.9700 0.5000 0.2500
Na3 0.6450 0.0000 0.7500
Na4 0.3550 0.0000 0.2500



A relaxed structure of NdEuZrFeO6. Source: the Materials Project, functional PBE+U.

Crystal system ... cubic
Mass density ... 6.7 g/cm3
Electronic total energy ... -8.580 eV per atom
Spin magnetization ... 1.19 μB/atom

Cell lengths 5.7350, 5.7350, 5.7350 Å; angles 60.00, 60.00, 60.00 degrees
Atoms (fractional coordinates):
Fe1 0.0000 0.0000 0.0000
O1 0.2448 0.7552 0.2448
O2 0.7552 0.2448 0.2448
O3 0.2448 0.2448 0.7552
O4 0.7552 0.2448 0.7552
O5 0.7552 0.7552 0.2448
O6 0.2448 0.7552 0.7552
Zr1 0.5000 0.5000 0.5000
Eu1 0.7500 0.7500 0.7500
Nd1 0.2500 0.2500 0.2500



A relaxed structure of MgFe6O6F6. Source: the Materials Project, functional PBE+U.

Crystal system ... triclinic
Mass density ... 4.0 g/cm3
Spin magnetization ... 1.47 μB/atom
Distance to the lowest polymorph of the same formula ... 0.86 eV per formula unit

Cell lengths 14.6318, 5.2705, 3.0980 Å; angles 90.45, 88.30, 92.87 degrees
Atoms (fractional coordinates):
O1 0.7492 0.2821 0.9612
O2 0.1255 0.3195 0.0326
O3 0.0758 0.7725 0.5609
O4 0.4089 0.8125 0.5076
O5 0.7271 0.8719 0.4820
O6 0.5670 0.6924 0.9950
F1 0.8691 0.6759 0.9269
F2 0.5823 0.1926 0.4946
F3 0.2474 0.7006 0.0268
F4 0.9225 0.1208 0.3561
F5 0.2896 0.1484 0.5226
F6 0.4354 0.3240 0.0067
Fe1 0.3526 0.9719 0.0150
Fe2 0.5021 0.5545 0.5016
Fe3 0.7751 0.5205 0.4517
Fe4 0.6537 0.0058 0.9959
Fe5 0.1583 0.5174 0.5317
Fe6 0.0571 0.9896 0.0617
Mg1 0.8440 0.0271 0.8609